Below is a relaxed RbYb3 crystal, with properties calculated at the r²SCAN level.

Properties
- Total DFT energy (no corrections): -2.217 Ry/atom
- SG: Pm-3m, No. 221

a b c (Å): 5.238 5.238 5.238
angles (deg): 90.00 90.00 90.00
Fractional positions:
1 Rb 0.500 0.500 0.500
2 Yb 0.500 0.000 0.000
3 Yb 0.000 0.500 0.000
4 Yb 0.000 0.000 0.500

***

Below is a relaxed CaB2Ir2 crystal, with properties calculated at the r²SCAN level.

Properties
- Total DFT energy (no corrections): -1.916 Ry/atom
- SG: Fddd, No. 70

a b c (Å): 5.503 5.503 6.129
angles (deg): 105.07 105.07 114.89
Fractional positions:
1 Ca 0.875 0.125 0.250
2 Ca 0.125 0.875 0.750
3 B 0.552 0.448 0.250
4 B 0.802 0.198 0.750
5 B 0.198 0.802 0.250
6 B 0.448 0.552 0.750
7 Ir 0.505 0.755 0.510
8 Ir 0.755 0.505 0.010
9 Ir 0.495 0.245 0.490
10 Ir 0.245 0.495 0.990

***

Below is a relaxed SrPt2 crystal, with properties calculated at the r²SCAN level.

Properties
- Total DFT energy (no corrections): -2.963 Ry/atom
- SG: Fd-3m, No. 227

a b c (Å): 5.537 5.537 5.537
angles (deg): 60.00 60.00 60.00
Fractional positions:
1 Sr 0.875 0.875 0.875
2 Sr 0.125 0.125 0.125
3 Pt 0.500 0.500 0.500
4 Pt 0.500 0.500 0.000
5 Pt 0.000 0.500 0.500
6 Pt 0.500 0.000 0.500

***

Below is a relaxed TbNi2P2 crystal, with properties calculated at the r²SCAN level.

Properties
- Total DFT energy (no corrections): -1.156 Ry/atom
- SG: I4/mmm, No. 139

a b c (Å): 3.867 3.867 5.405
angles (deg): 110.96 110.96 90.00
Fractional positions:
1 Tb 0.000 0.000 0.000
2 Ni 0.750 0.250 0.500
3 Ni 0.250 0.750 0.500
4 P 0.624 0.624 0.248
5 P 0.376 0.376 0.752

***

Number 1: DFT formation energy 721 meV per atom. Number 2: DFT formation energy -779 meV per atom. Number 3: DFT formation energy -935 meV per atom. Number 4: DFT formation energy -1086 meV per atom.